1.
Here is a geometry-optimized MgV4O9 structure from the Materials Project database. Energies are from GGA+U.

a = 4.9978 Å, b = 8.2953 Å, c = 8.2953 Å
α = 90.00°, β = 90.00°, γ = 90.00°
Fractional coordinates of all 28 atoms:
1 V 0.6315 0.5320 0.3403
2 V 0.3685 0.6597 0.0320
3 V 0.6315 0.3403 0.9680
4 V 0.6315 0.9680 0.1597
5 V 0.6315 0.1597 0.5320
6 V 0.3685 0.4680 0.6597
7 V 0.3685 0.0320 0.8403
8 V 0.3685 0.8403 0.4680
9 O 0.4468 0.4526 0.1443
10 O 0.5000 0.7500 0.2500
11 O 0.4468 0.0474 0.3557
12 O 0.5000 0.2500 0.7500
13 O 0.4468 0.1443 0.0474
14 O 0.0522 0.9803 0.8146
15 O 0.0522 0.6854 0.9803
16 O 0.9478 0.4803 0.3146
17 O 0.4468 0.3557 0.4526
18 O 0.9478 0.3146 0.0197
19 O 0.5532 0.8557 0.9526
20 O 0.0522 0.8146 0.5197
21 O 0.5532 0.5474 0.8557
22 O 0.5532 0.9526 0.6443
23 O 0.9478 0.0197 0.1854
24 O 0.5532 0.6443 0.5474
25 O 0.9478 0.1854 0.4803
26 O 0.0522 0.5197 0.6854
27 Mg 0.1602 0.2500 0.2500
28 Mg 0.8398 0.7500 0.7500

Symmetry: P4/n

2.
Here is a geometry-optimized MgVO2 structure from the Materials Project database. Energies are from GGA+U.

a = 2.9254 Å, b = 8.0032 Å, c = 8.0716 Å
α = 85.35°, β = 79.59°, γ = 80.14°
Fractional coordinates of all 16 atoms:
1 V 0.5545 0.0862 0.3112
2 V 0.4455 0.9138 0.6888
3 V 0.8281 0.2418 0.6209
4 V 0.1719 0.7582 0.3791
5 Mg 0.9409 0.4041 0.2515
6 Mg 0.1853 0.1875 0.9655
7 Mg 0.8147 0.8125 0.0345
8 Mg 0.0591 0.5959 0.7485
9 O 0.6162 0.6885 0.5651
10 O 0.8159 0.0457 0.8272
11 O 0.1841 0.9543 0.1728
12 O 0.5675 0.2814 0.1142
13 O 0.4325 0.7186 0.8858
14 O 0.7906 0.6508 0.2402
15 O 0.3838 0.3115 0.4349
16 O 0.2094 0.3492 0.7598

Symmetry: P-1

3.
Here is a geometry-optimized MgV2O6 structure from the Materials Project database. Energies are from GGA+U.

a = 4.8987 Å, b = 5.6109 Å, c = 13.7315 Å
α = 90.00°, β = 90.00°, γ = 90.00°
Fractional coordinates of all 36 atoms:
1 O 0.4518 0.3981 0.0985
2 O 0.3980 0.8644 0.7451
3 O 0.8980 0.6356 0.7549
4 O 0.5482 0.1019 0.5985
5 O 0.4518 0.8981 0.4015
6 O 0.8998 0.6248 0.4171
7 O 0.1002 0.3752 0.5829
8 O 0.6002 0.1248 0.9171
9 O 0.6020 0.1356 0.2549
10 O 0.8980 0.1356 0.7451
11 O 0.3980 0.3644 0.7549
12 O 0.6002 0.6248 0.5829
13 O 0.8998 0.1248 0.0829
14 O 0.3998 0.3752 0.4171
15 O 0.9518 0.1019 0.4015
16 O 0.5482 0.6019 0.9015
17 O 0.0482 0.8981 0.5985
18 O 0.0482 0.3981 0.9015
19 O 0.9518 0.6019 0.0985
20 O 0.6020 0.6356 0.2451
21 O 0.1020 0.8644 0.2549
22 O 0.3998 0.8752 0.0829
23 O 0.1002 0.8752 0.9171
24 O 0.1020 0.3644 0.2451
25 V 0.2404 0.6776 0.8367
26 V 0.7596 0.3224 0.1633
27 V 0.7596 0.8224 0.3367
28 V 0.7404 0.8224 0.6633
29 V 0.2596 0.6776 0.1633
30 V 0.7404 0.3224 0.8367
31 V 0.2404 0.1776 0.6633
32 V 0.2596 0.1776 0.3367
33 Mg 0.7500 0.8232 0.0000
34 Mg 0.7500 0.3232 0.5000
35 Mg 0.2500 0.6768 0.5000
36 Mg 0.2500 0.1768 0.0000

Excess energy over the best structure of this formula in the dataset: 13 meV/atom
Symmetry: Pbcn

| no. | total DFT energy (no corrections) (eV/atom) | calculated formation energy (eV/atom) |
| --- | --- | --- |
| 1 | -7.464 | -2.5004 |
| 2 | -6.704 | -2.3274 |
| 3 | -7.176 | -2.5167 |